Record 1
HfTaCN (PBE, optimized geometry); crystal system = trigonal; DFT total energy = -43.81 eV per formula unit; energy of formation = -1198 meV/atom
1.0
1.5970 0.9220 5.2387
-1.5970 0.9220 5.2387
0.0000 -1.8440 5.2387
Hf Ta C N
1 1 1 1
direct
0.0000 0.0000 0.0000
0.4934 0.4934 0.4934
0.7496 0.7496 0.7496
0.2453 0.2453 0.2453


Record 2
HfZrCN (PBE, optimized geometry); crystal system = trigonal; DFT total energy = -41.48 eV per formula unit; energy of formation = -1442 meV/atom
1.0
1.6376 0.9455 5.3616
-1.6376 0.9455 5.3616
0.0000 -1.8909 5.3616
Hf Zr C N
1 1 1 1
direct
0.0000 0.0000 0.0000
0.5023 0.5023 0.5023
0.2530 0.2530 0.2530
0.7486 0.7486 0.7486